No. 1
Compound: SiO2
Source: the Materials Project
Functional: r2SCAN
Structure: optimized geometry

Unit cell a=4.7192 b=9.4325 c=14.7256 alpha=90.00 beta=90.00 gamma=90.00
With the nearest neighbours (Å) after each atom.
Space group Fddd (No. 70, origin choice 2)
Symmetry-distinct sites (fractional):
Si 0.1250 0.1250 0.3118 x16  4 O 1.60-1.62
O 0.0000 0.0000 0.0000 x16  2 Si 1.60
O 0.1250 0.3116 0.6250 x16  2 Si 1.62

Calculated values
* energy relative to the elements: -3024 meV per atom
* calculated volume: 41 Å³/f.u.



No. 2
Compound: YbTi2O5F
Source: the Materials Project
Functional: r2SCAN
Structure: optimized geometry

Unit cell a=5.1114 b=14.3656 c=5.4270 alpha=90.00 beta=90.00 gamma=90.00
With the nearest neighbours (Å) after each atom.
Space group P2_12_12 (No. 18)
Symmetry-distinct sites (fractional):
Yb 0.0000 0.0000 0.0013 x2  6 O 2.22-2.41, 2 F 2.36
Yb 0.0000 0.5000 0.5143 x2  2 F 2.23, 6 O 2.25-2.42
Ti 0.0610 0.8191 0.6082 x4  5 O 1.85-2.06
Ti 0.0762 0.6607 0.0737 x4  4 O 1.78-1.99
O 0.0889 0.2408 0.8827 x4  3 Ti 1.88-2.08
O 0.0960 0.2586 0.3810 x4  2 Ti 1.85-1.96
O 0.1728 0.5816 0.8374 x4  1 Ti 1.78
O 0.2080 0.0907 0.6829 x4  2 Ti 1.93-1.99
O 0.2115 0.4108 0.1922 x4  2 Ti 1.91-2.06
F 0.1702 0.9150 0.3362 x4  1 Ti 2.09, 1 Yb 2.23

Calculated values
* energy relative to the elements: -3656 meV per atom
* calculated volume: 100 Å³/f.u.



No. 3
Compound: MnBe2
Source: the Materials Project
Functional: r2SCAN
Structure: optimized geometry

Unit cell a=4.1810 b=4.1810 c=6.7967 alpha=90.00 beta=90.00 gamma=120.00
With the nearest neighbours (Å) after each atom.
Space group P6_3/mmc (No. 194)
Symmetry-distinct sites (fractional):
Mn 0.3333 0.6667 0.0626 x4  12 Be 2.43-2.45, 4 Mn 2.55-2.56
Be 0.0000 0.0000 0.0000 x2  6 Be 2.10
Be 0.1703 0.3405 0.7500 x6  6 Be 2.05-2.14

Calculated values
* energy relative to the elements: -198 meV per atom
* calculated volume: 26 Å³/f.u.



No. 4
Compound: Ba2ReO5
Source: the Materials Project
Functional: r2SCAN
Structure: optimized geometry

Unit cell a=7.3752 b=5.7220 c=11.6304 alpha=90.00 beta=90.00 gamma=90.00
With the nearest neighbours (Å) after each atom.
Space group Pnma (No. 62)
Symmetry-distinct sites (fractional):
Ba 0.0233 0.2500 0.2152 x4  10 O 2.66-2.91
Ba 0.1647 0.7500 0.4188 x4  10 O 2.75-3.01
Re 0.1693 0.7500 0.0634 x4  6 O 1.86-2.04
O 0.0000 0.0000 0.0000 x4  2 Re 2.04
O 0.0186 0.7500 0.1918 x4  1 Re 1.86
O 0.1763 0.0128 0.6163 x8  1 Re 1.88
O 0.2225 0.2500 0.4109 x4  1 Re 1.94

Calculated values
* energy relative to the elements: -2500 meV per atom
* calculated volume: 123 Å³/f.u.